Here is a relaxed structure of NaScTiP2SO12 from Materials Project. Energies are from GGA-PBE.

The calculation puts the energy with MP2020 corrections at -7.86 eV per atom. Its spin magnetization is 0.0000 μB per atom.

a b c (Å): 8.701 8.728 22.685
angles (deg): 89.47 90.00 119.90
Element x y z (fractional)
1 O 0.500 0.864 0.078
2 O 0.489 0.125 0.637
3 O 0.198 0.030 0.305
4 O 0.698 0.531 0.245
5 O 0.151 0.684 0.757
6 O 0.514 0.869 0.362
7 O 0.969 0.168 0.305
8 O 0.699 0.176 0.742
9 O 0.493 0.637 0.575
10 O 0.355 0.869 0.862
11 Sc 0.327 0.671 0.313
12 P 0.958 0.622 0.082
13 O 0.790 0.815 0.197
14 O 0.302 0.458 0.470
15 Sc 0.994 0.004 0.647
16 O 0.166 0.198 0.411
17 S 0.330 0.376 0.417
18 O 0.031 0.198 0.911
19 Na 0.325 0.662 0.167
20 O 0.302 0.834 0.972
21 Ti 0.003 0.005 0.853
22 O 0.193 0.179 0.090
23 O 0.833 0.531 0.745
24 Na 0.658 0.329 0.834
25 Na 0.337 0.662 0.667
26 O 0.653 0.513 0.923
27 O 0.532 0.834 0.472
28 O 0.160 0.971 0.909
29 P 0.713 0.006 0.750
30 O 0.986 0.179 0.590
31 Ti 0.669 0.339 0.186
32 O 0.484 0.351 0.424
33 O 0.645 0.137 0.423
34 O 0.156 0.458 0.970
35 O 0.365 0.510 0.076
36 O 0.320 0.846 0.256
37 Na 0.670 0.329 0.334
38 O 0.159 0.471 0.257
39 Sc 0.661 0.338 0.980
40 P 0.292 0.288 0.749
41 O 0.969 0.791 0.804
42 O 0.200 0.017 0.590
43 Ti 0.003 0.005 0.353
44 O 0.022 0.202 0.195
45 P 0.997 0.288 0.249
46 O 0.811 0.843 0.909
47 P 0.046 0.673 0.417
48 O 0.032 0.843 0.409
49 Ti 0.336 0.672 0.519
50 O 0.145 0.510 0.576
51 Sc 0.344 0.671 0.813
52 O 0.826 0.804 0.590
53 O 0.144 0.637 0.075
54 O 0.498 0.363 0.139
55 O 0.478 0.304 0.742
56 O 0.365 0.864 0.578
57 O 0.526 0.846 0.756
58 O 0.811 0.971 0.409
59 S 0.712 0.709 0.250
60 P 0.627 0.673 0.917
61 O 0.456 0.148 0.530
62 O 0.127 0.640 0.362
63 O 0.165 0.696 0.472
64 O 0.978 0.804 0.090
65 Ti 0.669 0.339 0.686
66 O 0.864 0.363 0.639
67 O 0.358 0.481 0.363
68 O 0.826 0.304 0.242
69 P 0.330 0.955 0.916
70 O 0.866 0.501 0.139
71 O 0.478 0.176 0.242
72 O 0.832 0.030 0.805
73 S 0.997 0.709 0.750
74 O 0.123 0.481 0.863
75 Na 0.992 0.996 0.501
76 O 0.460 0.307 0.029
77 P 0.294 0.006 0.250
78 O 0.025 0.815 0.697
79 O 0.513 0.640 0.862
80 O 0.847 0.535 0.028
81 O 0.692 0.148 0.030
82 P 0.379 0.340 0.083
83 O 0.311 0.471 0.757
84 O 0.818 0.017 0.090
85 S 0.664 0.042 0.084
86 O 0.847 0.307 0.529
87 O 0.180 0.974 0.195
88 O 0.794 0.974 0.695
89 Sc 0.677 0.338 0.480
90 Sc 0.010 0.004 0.147
91 P 0.960 0.340 0.583
92 O 0.823 0.791 0.304
93 O 0.688 0.535 0.528
94 O 0.533 0.684 0.257
95 O 0.636 0.501 0.639
96 O 0.531 0.696 0.972
97 Na 0.004 0.996 0.001
98 P 0.663 0.622 0.582
99 Ti 0.336 0.672 0.019
100 O 0.860 0.513 0.423
101 O 0.635 0.125 0.137
102 S 0.379 0.042 0.584
103 O 0.180 0.202 0.695
104 O 0.199 0.168 0.805
105 P 0.625 0.955 0.416
106 S 0.046 0.376 0.917
107 O 0.493 0.137 0.923
108 O 0.866 0.351 0.924